(1)
VASP calculation (GGA-PBE) on Na2ZrSi2GeSO12 after structural relaxation.

abc: 8.855 8.913 22.561
angles: 89.14 88.66 60.36
Positions (direct):
Na 0.000 0.000 0.000
Na 0.004 0.652 0.253
Na 0.018 0.637 0.760
Na 0.037 0.295 0.164
Na 0.326 0.327 0.334
Na 0.341 0.986 0.592
Na 0.348 0.970 0.086
Na 0.374 0.627 0.500
Na 0.660 0.661 0.668
Na 0.666 0.322 0.927
Na 0.681 0.311 0.421
Na 0.705 0.963 0.837
Zr 0.317 0.969 0.233
Zr 0.334 0.966 0.443
Zr 0.651 0.303 0.570
Zr 0.662 0.301 0.272
Zr 0.668 0.300 0.782
Zr 0.997 0.636 0.612
Si 0.030 0.266 0.339
Si 0.063 0.951 0.846
Si 0.287 0.339 0.504
Si 0.320 0.671 0.344
Si 0.368 0.598 0.676
Si 0.373 0.309 0.165
Si 0.617 0.682 0.846
Si 0.650 0.009 0.681
Si 0.703 0.916 0.006
Si 0.719 0.628 0.505
Si 0.952 0.993 0.166
Si 0.996 0.352 0.005
Ge 0.001 0.631 0.104
Ge 0.019 0.595 0.402
Ge 0.331 0.974 0.944
Ge 0.355 0.926 0.741
Ge 0.688 0.261 0.066
Ge 0.968 0.652 0.904
S 0.290 0.629 0.004
S 0.318 0.256 0.842
S 0.635 0.952 0.337
S 0.669 0.591 0.167
S 0.968 0.284 0.673
S 0.990 0.924 0.504
O 0.010 0.825 0.559
O 0.022 0.455 0.344
O 0.027 0.433 0.066
O 0.041 0.773 0.851
O 0.135 0.145 0.395
O 0.136 0.663 0.349
O 0.140 0.133 0.679
O 0.141 0.988 0.906
O 0.143 0.982 0.173
O 0.152 0.185 0.279
O 0.155 0.936 0.503
O 0.164 0.150 0.998
O 0.167 0.430 0.847
O 0.173 0.476 0.158
O 0.174 0.444 0.562
O 0.177 0.621 0.673
O 0.177 0.661 0.059
O 0.181 0.932 0.785
O 0.207 0.608 0.952
O 0.209 0.455 0.443
O 0.300 0.795 0.003
O 0.302 0.172 0.789
O 0.302 0.793 0.286
O 0.309 0.149 0.503
O 0.352 0.149 0.897
O 0.353 0.135 0.171
O 0.354 0.750 0.403
O 0.360 0.787 0.682
O 0.445 0.339 0.228
O 0.465 0.480 0.010
O 0.467 0.999 0.687
O 0.478 0.327 0.507
O 0.478 0.474 0.731
O 0.480 0.473 0.335
O 0.483 0.270 0.839
O 0.485 0.522 0.615
O 0.491 0.791 0.901
O 0.506 0.946 0.998
O 0.508 0.286 0.110
O 0.520 0.766 0.174
O 0.520 0.791 0.500
O 0.527 0.981 0.391
O 0.547 0.939 0.285
O 0.548 0.792 0.783
O 0.632 0.126 0.622
O 0.641 0.490 0.842
O 0.642 0.119 0.333
O 0.647 0.510 0.114
O 0.685 0.090 0.739
O 0.693 0.486 0.222
O 0.695 0.108 0.012
O 0.703 0.452 0.507
O 0.792 0.654 0.567
O 0.806 0.788 0.062
O 0.808 0.803 0.341
O 0.811 0.810 0.673
O 0.812 0.669 0.849
O 0.819 0.324 0.013
O 0.827 0.847 0.945
O 0.833 0.092 0.224
O 0.835 0.599 0.165
O 0.839 0.621 0.446
O 0.840 0.287 0.333
O 0.841 0.099 0.508
O 0.858 0.313 0.727
O 0.864 0.114 0.839
O 0.879 0.124 0.107
O 0.882 0.271 0.620
O 0.967 0.479 0.948
O 0.970 0.804 0.157
O 0.977 0.840 0.451
O 0.978 0.448 0.670

Its total magnetization is 0.000 μB/atom. Its symmetry is P1 (1). The MP2020-corrected energy comes out at -7.402 eV/atom. For the calculated formation energy, the calculation gives -50.45 eV/f.u.


(2)
VASP calculation (GGA-PBE) on Na10Zr4Si9Ge4S3O48 after structural relaxation.

abc: 8.940 15.515 22.298
angles: 90.12 90.05 90.21
Positions (direct):
Na 0.000 0.000 0.000
Na 0.002 0.629 0.001
Na 0.006 0.967 0.337
Na 0.042 0.308 0.006
Na 0.169 0.486 0.420
Na 0.178 0.147 0.593
Na 0.186 0.491 0.921
Na 0.194 0.825 0.759
Na 0.207 0.823 0.251
Na 0.208 0.148 0.092
Na 0.317 0.311 0.504
Na 0.365 0.631 0.502
Na 0.367 0.998 0.502
Na 0.376 0.667 0.164
Na 0.380 0.329 0.837
Na 0.498 0.498 0.003
Na 0.505 0.466 0.338
Na 0.508 0.160 0.667
Na 0.668 0.987 0.416
Na 0.672 0.993 0.927
Na 0.680 0.657 0.085
Na 0.684 0.648 0.590
Na 0.694 0.324 0.756
Na 0.697 0.315 0.249
Na 0.828 0.814 0.509
Na 0.859 0.132 0.500
Na 0.861 0.156 0.167
Na 0.870 0.491 0.505
Na 0.873 0.831 0.835
Na 0.995 0.660 0.666
Zr 0.181 0.476 0.779
Zr 0.181 0.824 0.609
Zr 0.182 0.471 0.272
Zr 0.183 0.469 0.572
Zr 0.188 0.471 0.065
Zr 0.198 0.815 0.399
Zr 0.675 0.646 0.231
Zr 0.681 0.979 0.573
Zr 0.685 0.641 0.440
Zr 0.690 0.983 0.781
Zr 0.693 0.638 0.740
Zr 0.695 0.309 0.398
Si 0.032 0.321 0.169
Si 0.037 0.965 0.498
Si 0.044 0.666 0.507
Si 0.060 0.005 0.844
Si 0.333 0.680 0.004
Si 0.337 0.012 0.334
Si 0.340 0.323 0.677
Si 0.378 0.646 0.336
Si 0.385 0.981 0.677
Si 0.402 0.302 0.005
Si 0.477 0.148 0.847
Si 0.480 0.813 0.507
Si 0.492 0.469 0.168
Si 0.533 0.171 0.506
Si 0.539 0.847 0.167
Si 0.541 0.454 0.504
Si 0.547 0.495 0.848
Si 0.820 0.168 0.005
Si 0.821 0.454 0.001
Si 0.832 0.828 0.676
Si 0.836 0.496 0.337
Si 0.881 0.469 0.669
Si 0.894 0.140 0.335
Si 0.897 0.813 0.007
Si 0.969 0.305 0.506
Si 0.975 0.972 0.173
Si 0.977 0.649 0.846
Ge 0.157 0.137 0.233
Ge 0.162 0.815 0.905
Ge 0.183 0.140 0.440
Ge 0.185 0.146 0.943
Ge 0.192 0.820 0.106
Ge 0.219 0.140 0.742
Ge 0.671 0.309 0.907
Ge 0.676 0.983 0.271
Ge 0.678 0.317 0.605
Ge 0.685 0.641 0.948
Ge 0.690 0.318 0.102
Ge 0.713 0.976 0.070
S 0.036 0.283 0.840
S 0.045 0.631 0.169
S 0.321 0.283 0.338
S 0.331 0.958 0.005
S 0.332 0.627 0.673
S 0.533 0.789 0.844
S 0.538 0.121 0.171
S 0.826 0.799 0.337
S 0.844 0.131 0.674
O 0.003 0.124 0.394
O 0.003 0.468 0.005
O 0.005 0.141 0.681
O 0.008 0.156 0.999
O 0.013 0.812 0.675
O 0.015 0.482 0.334
O 0.019 0.795 0.061
O 0.051 0.905 0.440
O 0.062 0.385 0.226
O 0.067 0.721 0.569
O 0.070 0.580 0.113
O 0.076 0.221 0.495
O 0.077 0.231 0.787
O 0.077 0.740 0.850
O 0.079 0.061 0.907
O 0.080 0.887 0.161
O 0.081 0.060 0.178
O 0.081 0.564 0.839
O 0.083 0.388 0.513
O 0.100 0.248 0.898
O 0.103 0.366 0.109
O 0.107 0.584 0.221
O 0.110 0.370 0.837
O 0.117 0.570 0.509
O 0.118 0.226 0.177
O 0.120 0.921 0.556
O 0.121 0.717 0.452
O 0.124 0.058 0.496
O 0.126 0.714 0.168
O 0.129 0.055 0.786
O 0.138 0.906 0.849
O 0.244 0.729 0.949
O 0.251 0.918 0.338
O 0.253 0.060 0.278
O 0.255 0.045 0.003
O 0.255 0.229 0.686
O 0.256 0.582 0.008
O 0.257 0.372 0.336
O 0.257 0.711 0.673
O 0.257 0.920 0.060
O 0.265 0.246 0.396
O 0.267 0.366 0.616
O 0.269 0.579 0.725
O 0.270 0.729 0.335
O 0.277 0.221 0.000
O 0.282 0.233 0.284
O 0.283 0.069 0.682
O 0.287 0.895 0.675
O 0.292 0.553 0.334
O 0.294 0.389 0.009
O 0.300 0.906 0.951
O 0.304 0.579 0.616
O 0.304 0.733 0.067
O 0.309 0.065 0.398
O 0.309 0.386 0.735
O 0.349 0.164 0.498
O 0.354 0.831 0.161
O 0.355 0.137 0.900
O 0.362 0.469 0.513
O 0.364 0.479 0.842
O 0.371 0.801 0.849
O 0.373 0.793 0.564
O 0.375 0.129 0.178
O 0.379 0.489 0.112
O 0.379 0.834 0.449
O 0.384 0.169 0.784
O 0.390 0.461 0.229
O 0.480 0.999 0.615
O 0.484 0.640 0.397
O 0.484 0.655 0.276
O 0.486 0.293 0.339
O 0.493 0.969 0.010
O 0.494 0.327 0.945
O 0.495 0.638 0.678
O 0.506 0.979 0.731
O 0.511 0.288 0.062
O 0.516 0.665 0.998
O 0.519 0.000 0.327
O 0.522 0.310 0.668
O 0.558 0.400 0.442
O 0.559 0.230 0.568
O 0.562 0.740 0.788
O 0.567 0.067 0.118
O 0.568 0.904 0.228
O 0.572 0.559 0.907
O 0.580 0.236 0.850
O 0.582 0.063 0.842
O 0.585 0.899 0.512
O 0.590 0.381 0.162
O 0.591 0.560 0.170
O 0.591 0.731 0.501
O 0.604 0.075 0.514
O 0.604 0.747 0.897
O 0.608 0.748 0.172
O 0.610 0.876 0.841
O 0.611 0.206 0.167
O 0.611 0.542 0.789
O 0.613 0.894 0.108
O 0.615 0.551 0.503
O 0.616 0.084 0.226
O 0.618 0.212 0.450
O 0.626 0.409 0.561
O 0.627 0.399 0.850
O 0.740 0.407 0.334
O 0.744 0.414 0.061
O 0.745 0.211 0.946
O 0.748 0.553 0.000
O 0.749 0.068 0.015
O 0.751 0.884 0.335
O 0.753 0.733 0.676
O 0.763 0.214 0.671
O 0.770 0.558 0.284
O 0.776 0.084 0.725
O 0.777 0.756 0.393
O 0.778 0.878 0.615
O 0.780 0.556 0.677
O 0.784 0.381 0.663
O 0.786 0.223 0.339
O 0.788 0.746 0.284
O 0.793 0.885 0.736
O 0.795 0.050 0.328
O 0.796 0.725 0.001
O 0.798 0.903 0.014
O 0.801 0.385 0.946
O 0.804 0.230 0.064
O 0.804 0.545 0.401
O 0.815 0.081 0.617
O 0.850 0.308 0.162
O 0.857 0.284 0.562
O 0.860 0.982 0.510
O 0.862 0.659 0.501
O 0.865 0.638 0.904
O 0.865 0.961 0.231
O 0.874 0.291 0.842
O 0.874 0.334 0.448
O 0.878 0.002 0.113
O 0.880 0.986 0.838
O 0.881 0.666 0.785
O 0.883 0.645 0.174
O 0.981 0.493 0.610
O 0.990 0.811 0.337
O 0.991 0.158 0.274
O 0.991 0.840 0.946
O 0.998 0.464 0.727

Its total magnetization is 0.000 μB/atom. Its symmetry is P1 (1). The MP2020-corrected energy comes out at -7.376 eV/atom. For the calculated formation energy, the calculation gives -210.69 eV/f.u.


(3)
VASP calculation (GGA-PBE) on Na2Zr2Si3Ge2S3O24 after structural relaxation.

abc: 8.760 8.774 22.776
angles: 90.42 90.07 119.89
Positions (direct):
Na 0.000 0.000 0.000
Na 0.011 0.020 0.503
Na 0.331 0.677 0.342
Na 0.351 0.700 0.840
Na 0.649 0.335 0.677
Na 0.686 0.374 0.175
Zr 0.007 0.027 0.650
Zr 0.317 0.677 0.200
Zr 0.327 0.701 0.982
Zr 0.642 0.345 0.816
Zr 0.663 0.373 0.021
Zr 0.981 0.012 0.157
Si 0.030 0.686 0.092
Si 0.276 0.324 0.755
Si 0.334 0.957 0.587
Si 0.354 0.067 0.920
Si 0.369 0.351 0.423
Si 0.679 0.669 0.918
Si 0.714 0.741 0.267
Si 0.718 0.024 0.756
Si 0.976 0.310 0.263
Ge 0.007 0.049 0.356
Ge 0.319 0.669 0.488
Ge 0.348 0.715 0.703
Ge 0.626 0.322 0.526
Ge 0.667 0.380 0.322
Ge 0.996 0.034 0.858
S 0.006 0.737 0.756
S 0.030 0.403 0.585
S 0.291 0.034 0.263
S 0.328 0.396 0.091
S 0.609 0.671 0.586
S 0.618 0.983 0.092
S 0.659 0.065 0.425
S 0.948 0.638 0.427
S 0.952 0.347 0.921
O 0.005 0.221 0.587
O 0.015 0.864 0.095
O 0.033 0.235 0.320
O 0.034 0.844 0.809
O 0.111 0.506 0.637
O 0.128 0.651 0.431
O 0.132 0.498 0.927
O 0.133 0.674 0.150
O 0.143 0.473 0.530
O 0.145 0.700 0.034
O 0.148 0.507 0.258
O 0.156 0.230 0.813
O 0.163 0.982 0.589
O 0.168 0.222 0.096
O 0.169 0.063 0.910
O 0.171 0.171 0.414
O 0.173 0.727 0.750
O 0.177 0.999 0.316
O 0.198 0.203 0.696
O 0.213 0.059 0.209
O 0.285 0.515 0.742
O 0.309 0.838 0.527
O 0.314 0.481 0.038
O 0.314 0.879 0.258
O 0.323 0.867 0.925
O 0.347 0.529 0.434
O 0.352 0.501 0.146
O 0.362 0.867 0.647
O 0.447 0.179 0.980
O 0.450 0.311 0.482
O 0.465 0.195 0.270
O 0.475 0.354 0.758
O 0.484 0.146 0.864
O 0.485 0.373 0.089
O 0.498 0.676 0.928
O 0.501 0.389 0.368
O 0.501 0.885 0.431
O 0.507 0.643 0.639
O 0.514 0.158 0.582
O 0.516 0.847 0.753
O 0.520 0.894 0.145
O 0.522 0.724 0.260
O 0.525 0.696 0.532
O 0.538 0.876 0.038
O 0.630 0.510 0.579
O 0.631 0.147 0.374
O 0.631 0.156 0.088
O 0.652 0.542 0.863
O 0.690 0.543 0.271
O 0.693 0.176 0.480
O 0.701 0.199 0.758
O 0.711 0.583 0.978
O 0.786 0.829 0.588
O 0.794 0.317 0.276
O 0.798 0.004 0.094
O 0.806 0.990 0.814
O 0.815 0.026 0.695
O 0.820 0.865 0.325
O 0.822 0.049 0.422
O 0.828 0.815 0.207
O 0.836 0.551 0.479
O 0.837 0.508 0.089
O 0.849 0.328 0.975
O 0.851 0.863 0.911
O 0.856 0.394 0.576
O 0.856 0.558 0.759
O 0.873 0.531 0.372
O 0.874 0.376 0.869
O 0.950 0.196 0.204
O 0.962 0.184 0.918
O 0.972 0.816 0.422
O 0.981 0.814 0.701

Its total magnetization is 0.000 μB/atom. Its symmetry is P1 (1). The MP2020-corrected energy comes out at -7.440 eV/atom. For the calculated formation energy, the calculation gives -91.42 eV/f.u.


Energy
In order: -6.968 -6.953 -6.982
Unit: eV/atom